# 1
HfTe2Cl12 | GGA-PBE | relaxed

Cell lengths 26.728, 26.728, 26.728 Å; angles 27.37, 27.37, 27.37 degrees
Atoms (fractional coordinates):
1 Hf 0.750 0.750 0.750
2 Hf 0.358 0.358 0.358
3 Hf 0.642 0.642 0.642
4 Hf 0.858 0.858 0.858
5 Hf 0.142 0.142 0.142
6 Hf 0.250 0.250 0.250
7 Te 0.286 0.960 0.608
8 Te 0.608 0.286 0.960
9 Te 0.040 0.392 0.714
10 Te 0.892 0.540 0.214
11 Te 0.392 0.714 0.040
12 Te 0.108 0.460 0.786
13 Te 0.786 0.108 0.460
14 Te 0.460 0.786 0.108
15 Te 0.960 0.608 0.286
16 Te 0.540 0.214 0.892
17 Te 0.714 0.040 0.392
18 Te 0.214 0.892 0.540
19 Cl 0.034 0.483 0.068
20 Cl 0.775 0.478 0.716
21 Cl 0.244 0.444 0.609
22 Cl 0.671 0.444 0.729
23 Cl 0.256 0.891 0.056
24 Cl 0.829 0.771 0.056
25 Cl 0.534 0.568 0.983
26 Cl 0.025 0.248 0.803
27 Cl 0.944 0.171 0.229
28 Cl 0.665 0.952 0.688
29 Cl 0.966 0.517 0.932
30 Cl 0.932 0.966 0.517
31 Cl 0.475 0.697 0.252
32 Cl 0.548 0.835 0.812
33 Cl 0.022 0.725 0.784
34 Cl 0.391 0.756 0.556
35 Cl 0.752 0.197 0.975
36 Cl 0.478 0.716 0.775
37 Cl 0.556 0.271 0.329
38 Cl 0.068 0.034 0.483
39 Cl 0.335 0.048 0.312
40 Cl 0.252 0.475 0.697
41 Cl 0.466 0.432 0.017
42 Cl 0.284 0.225 0.522
43 Cl 0.048 0.312 0.335
44 Cl 0.803 0.025 0.248
45 Cl 0.725 0.784 0.022
46 Cl 0.744 0.109 0.944
47 Cl 0.109 0.944 0.744
48 Cl 0.697 0.252 0.475
49 Cl 0.952 0.688 0.665
50 Cl 0.483 0.068 0.034
51 Cl 0.983 0.534 0.568
52 Cl 0.056 0.256 0.891
53 Cl 0.312 0.335 0.048
54 Cl 0.188 0.452 0.165
55 Cl 0.522 0.284 0.225
56 Cl 0.017 0.466 0.432
57 Cl 0.812 0.548 0.835
58 Cl 0.784 0.022 0.725
59 Cl 0.978 0.275 0.216
60 Cl 0.248 0.803 0.025
61 Cl 0.303 0.748 0.525
62 Cl 0.197 0.975 0.752
63 Cl 0.771 0.056 0.829
64 Cl 0.944 0.744 0.109
65 Cl 0.056 0.829 0.771
66 Cl 0.432 0.017 0.466
67 Cl 0.517 0.932 0.966
68 Cl 0.271 0.329 0.556
69 Cl 0.329 0.556 0.271
70 Cl 0.688 0.665 0.952
71 Cl 0.609 0.244 0.444
72 Cl 0.729 0.671 0.444
73 Cl 0.568 0.983 0.534
74 Cl 0.975 0.752 0.197
75 Cl 0.444 0.609 0.244
76 Cl 0.835 0.812 0.548
77 Cl 0.756 0.556 0.391
78 Cl 0.444 0.729 0.671
79 Cl 0.225 0.522 0.284
80 Cl 0.275 0.216 0.978
81 Cl 0.171 0.229 0.944
82 Cl 0.216 0.978 0.275
83 Cl 0.525 0.303 0.748
84 Cl 0.748 0.525 0.303
85 Cl 0.229 0.944 0.171
86 Cl 0.891 0.056 0.256
87 Cl 0.452 0.165 0.188
88 Cl 0.556 0.391 0.756
89 Cl 0.165 0.188 0.452
90 Cl 0.716 0.775 0.478

Computed properties:
SG: R-3c, No. 167
energy of formation: -1995 kJ/mol of formula units
corrected total energy (MP2020 scheme): -354.604 eV for the cell shown

# 2
Li2Al | GGA-PBE | relaxed

Cell lengths 6.816, 6.816, 6.816 Å; angles 60.00, 60.00, 60.00 degrees
Atoms (fractional coordinates):
1 Li 0.603 0.603 0.603
2 Li 0.190 0.603 0.603
3 Li 0.603 0.190 0.603
4 Li 0.560 0.147 0.147
5 Li 0.147 0.147 0.147
6 Li 0.603 0.603 0.190
7 Li 0.147 0.560 0.147
8 Li 0.147 0.147 0.560
9 Al 0.875 0.875 0.875
10 Al 0.375 0.875 0.875
11 Al 0.875 0.375 0.875
12 Al 0.875 0.875 0.375

Computed properties:
SG: Fd-3m, No. 227
energy of formation: 48 kJ/mol of formula units

# 3
LuNi2 | GGA-PBE | relaxed

Cell lengths 4.989, 4.989, 4.989 Å; angles 60.00, 60.00, 60.00 degrees
Atoms (fractional coordinates):
1 Lu 0.750 0.750 0.750
2 Lu 0.500 0.500 0.500
3 Ni 0.125 0.125 0.125
4 Ni 0.625 0.125 0.125
5 Ni 0.125 0.625 0.125
6 Ni 0.125 0.125 0.625

Computed properties:
SG: Fd-3m, No. 227
energy of formation: -150 kJ/mol of formula units

# 4
NaNdTiNbO6F | GGA-PBE | relaxed

Cell lengths 7.364, 7.364, 7.364 Å; angles 121.23, 117.89, 90.79 degrees
Atoms (fractional coordinates):
1 Na 0.500 0.000 0.000
2 Na 0.500 0.500 0.500
3 Nd 0.500 0.000 0.500
4 Nd 0.000 0.000 0.000
5 Ti 0.000 0.500 0.000
6 Ti 0.000 0.000 0.500
7 Nb 0.000 0.500 0.500
8 Nb 0.500 0.500 0.000
9 O 0.921 0.171 0.750
10 O 0.317 0.567 0.750
11 O 0.937 0.583 0.765
12 O 0.317 0.171 0.735
13 O 0.937 0.171 0.354
14 O 0.317 0.583 0.146
15 O 0.079 0.829 0.250
16 O 0.683 0.433 0.250
17 O 0.063 0.417 0.235
18 O 0.683 0.829 0.265
19 O 0.063 0.829 0.646
20 O 0.683 0.417 0.854
21 F 0.623 0.873 0.750
22 F 0.377 0.127 0.250

Computed properties:
SG: Imma, No. 74
energy relative to the lowest polymorph listed for this composition: 0.04 eV per formula unit
energy of formation: -3573 kJ/mol of formula units
corrected total energy (MP2020 scheme): -185.437 eV for the cell shown

# 5
K8MgSi8O24 | GGA-PBE | relaxed

Cell lengths 8.279, 8.265, 10.276 Å; angles 88.79, 88.93, 96.33 degrees
Atoms (fractional coordinates):
1 K 0.992 0.022 0.735
2 K 0.492 0.537 0.740
3 K 0.968 0.010 0.262
4 K 0.479 0.505 0.263
5 K 0.677 0.195 0.516
6 K 0.172 0.778 0.984
7 K 0.305 0.822 0.484
8 K 0.727 0.324 0.016
9 Mg 0.108 0.394 0.001
10 Si 0.026 0.516 0.708
11 Si 0.513 0.007 0.807
12 Si 0.986 0.473 0.292
13 Si 0.494 0.985 0.193
14 Si 0.820 0.681 0.500
15 Si 0.312 0.188 0.997
16 Si 0.192 0.308 0.501
17 Si 0.689 0.810 0.002
18 O 0.977 0.448 0.855
19 O 0.486 0.963 0.657
20 O 0.052 0.525 0.146
21 O 0.524 0.025 0.344
22 O 0.866 0.573 0.630
23 O 0.346 0.065 0.875
24 O 0.145 0.416 0.373
25 O 0.664 0.941 0.120
26 O 0.079 0.358 0.625
27 O 0.549 0.842 0.893
28 O 0.933 0.633 0.374
29 O 0.442 0.146 0.111
30 O 0.171 0.663 0.714
31 O 0.666 0.146 0.793
32 O 0.838 0.329 0.286
33 O 0.353 0.832 0.207
34 O 0.850 0.877 0.517
35 O 0.345 0.381 0.959
36 O 0.159 0.112 0.483
37 O 0.662 0.621 0.047
38 O 0.625 0.648 0.479
39 O 0.122 0.155 0.041
40 O 0.386 0.342 0.523
41 O 0.874 0.839 0.949

Computed properties:
SG: P1, No. 1
energy relative to the lowest polymorph listed for this composition: 0.00 eV per formula unit
energy of formation: -10171 kJ/mol of formula units
corrected total energy (MP2020 scheme): -278.056 eV for the cell shown

# 6
K3Ti | GGA-PBE | relaxed

Cell lengths 8.381, 8.381, 6.795 Å; angles 90.00, 90.00, 120.00 degrees
Atoms (fractional coordinates):
1 K 0.176 0.351 0.250
2 K 0.649 0.824 0.250
3 K 0.176 0.824 0.250
4 K 0.824 0.649 0.750
5 K 0.351 0.176 0.750
6 K 0.824 0.176 0.750
7 Ti 0.333 0.667 0.750
8 Ti 0.667 0.333 0.250

Computed properties:
SG: P6_3/mmc, No. 194
energy relative to the lowest polymorph listed for this composition: 0.00 eV per formula unit
energy of formation: 331 kJ/mol of formula units

# 7
Li3Mg8Si4 | GGA-PBE | relaxed

Cell lengths 6.576, 6.576, 6.576 Å; angles 90.00, 90.00, 90.00 degrees
Atoms (fractional coordinates):
1 Li 0.500 0.000 0.000
2 Li 0.000 0.500 0.000
3 Li 0.000 0.000 0.500
4 Mg 0.254 0.254 0.254
5 Mg 0.746 0.746 0.254
6 Mg 0.746 0.254 0.746
7 Mg 0.254 0.746 0.746
8 Mg 0.254 0.254 0.746
9 Mg 0.746 0.746 0.746
10 Mg 0.746 0.254 0.254
11 Mg 0.254 0.746 0.254
12 Si 0.000 0.000 0.000
13 Si 0.000 0.500 0.500
14 Si 0.500 0.000 0.500
15 Si 0.500 0.500 0.000

Computed properties:
SG: Pm-3m, No. 221
energy of formation: -64 kJ/mol of formula units
corrected total energy (MP2020 scheme): -40.897 eV for the cell shown

# 8
LiH13C2N4 | GGA-PBE | relaxed

Cell lengths 8.647, 8.647, 5.370 Å; angles 90.00, 90.00, 90.00 degrees
Atoms (fractional coordinates):
1 Li 0.000 0.000 0.500
2 Li 0.500 0.500 0.500
3 H 0.500 0.000 0.018
4 H 0.000 0.500 0.982
5 H 0.727 0.090 0.368
6 H 0.273 0.910 0.368
7 H 0.410 0.227 0.368
8 H 0.590 0.773 0.368
9 H 0.773 0.410 0.632
10 H 0.227 0.590 0.632
11 H 0.090 0.273 0.632
12 H 0.910 0.727 0.632
13 H 0.856 0.226 0.292
14 H 0.144 0.774 0.292
15 H 0.274 0.356 0.292
16 H 0.726 0.644 0.292
17 H 0.644 0.274 0.708
18 H 0.356 0.726 0.708
19 H 0.226 0.144 0.708
20 H 0.774 0.856 0.708
21 H 0.820 0.081 0.102
22 H 0.180 0.919 0.102
23 H 0.419 0.320 0.102
24 H 0.581 0.680 0.102
25 H 0.680 0.419 0.898
26 H 0.320 0.581 0.898
27 H 0.081 0.180 0.898
28 H 0.919 0.820 0.898
29 C 0.500 0.000 0.584
30 C 0.000 0.500 0.416
31 C 0.500 0.000 0.817
32 C 0.000 0.500 0.183
33 N 0.833 0.109 0.286
34 N 0.167 0.891 0.286
35 N 0.391 0.333 0.286
36 N 0.609 0.667 0.286
37 N 0.667 0.391 0.714
38 N 0.333 0.609 0.714
39 N 0.109 0.167 0.714
40 N 0.891 0.833 0.714

Computed properties:
SG: P4/n, No. 85
energy of formation: -564 kJ/mol of formula units
corrected total energy (MP2020 scheme): -207.336 eV for the cell shown

# 9
Li3NbF6 | GGA-PBE | relaxed

Cell lengths 6.708, 7.003, 7.612 Å; angles 77.80, 115.65, 120.80 degrees
Atoms (fractional coordinates):
1 Li 0.000 0.000 0.500
2 Li 0.500 0.500 0.000
3 Li 0.000 0.500 0.000
4 Nb 0.000 0.000 0.000
5 F 0.910 0.260 0.889
6 F 0.090 0.740 0.111
7 F 0.049 0.990 0.746
8 F 0.951 0.010 0.254
9 F 0.614 0.755 0.891
10 F 0.386 0.245 0.109

Computed properties:
SG: P-1, No. 2
energy relative to the lowest polymorph listed for this composition: 0.00 eV per formula unit
energy of formation: -2710 kJ/mol of formula units
corrected total energy (MP2020 scheme): -55.402 eV for the cell shown

# 10
Fe7Se3 | GGA-PBE | relaxed

Cell lengths 5.963, 7.839, 14.238 Å; angles 89.97, 59.03, 89.99 degrees
Atoms (fractional coordinates):
1 Fe 0.724 0.499 0.196
2 Fe 0.165 0.409 0.013
3 Fe 0.446 0.250 0.317
4 Fe 0.183 0.089 0.497
5 Fe 0.805 0.504 0.690
6 Fe 0.533 0.250 0.823
7 Fe 0.467 0.750 0.177
8 Fe 0.053 0.750 0.590
9 Fe 0.276 0.998 0.804
10 Fe 0.554 0.750 0.683
11 Fe 0.276 0.501 0.804
12 Fe 0.947 0.250 0.410
13 Fe 0.070 0.250 0.694
14 Fe 0.805 0.997 0.690
15 Fe 0.195 0.496 0.310
16 Fe 0.930 0.750 0.306
17 Fe 0.817 0.911 0.503
18 Fe 0.195 0.003 0.310
19 Fe 0.817 0.588 0.503
20 Fe 0.835 0.591 0.987
21 Fe 0.166 0.089 0.012
22 Fe 0.014 0.750 0.789
23 Fe 0.253 0.750 0.910
24 Fe 0.986 0.250 0.211
25 Fe 0.724 0.002 0.196
26 Fe 0.834 0.911 0.988
27 Fe 0.183 0.412 0.497
28 Fe 0.747 0.250 0.090
29 Se 0.980 0.750 0.112
30 Se 0.244 0.750 0.391
31 Se 0.594 0.540 0.880
32 Se 0.697 0.468 0.371
33 Se 0.406 0.460 0.120
34 Se 0.756 0.250 0.609
35 Se 0.303 0.532 0.629
36 Se 0.698 0.032 0.370
37 Se 0.595 0.959 0.880
38 Se 0.405 0.041 0.120
39 Se 0.020 0.250 0.888
40 Se 0.302 0.968 0.630

Computed properties:
SG: P-1, No. 2
energy relative to the lowest polymorph listed for this composition: 0.00 eV per formula unit
energy of formation: -42 kJ/mol of formula units
corrected total energy (MP2020 scheme): -280.868 eV for the cell shown

# 11
Dy2GaAg | GGA-PBE | relaxed

Cell lengths 5.123, 5.123, 5.123 Å; angles 60.00, 60.00, 60.00 degrees
Atoms (fractional coordinates):
1 Dy 0.750 0.750 0.750
2 Dy 0.250 0.250 0.250
3 Ga 0.000 0.000 0.000
4 Ag 0.500 0.500 0.500

Computed properties:
SG: Fm-3m, No. 225
energy of formation: -179 kJ/mol of formula units

# 12
NbS2Br2 | GGA-PBE | relaxed

Cell lengths 6.658, 6.661, 7.711 Å; angles 90.28, 111.84, 118.95 degrees
Atoms (fractional coordinates):
1 Nb 0.873 0.125 0.000
2 Nb 0.127 0.875 0.000
3 S 0.802 0.765 0.128
4 S 0.198 0.235 0.872
5 S 0.141 0.058 0.294
6 S 0.859 0.942 0.706
7 Br 0.769 0.425 0.777
8 Br 0.231 0.575 0.223
9 Br 0.640 0.168 0.223
10 Br 0.360 0.832 0.777

Computed properties:
SG: P-1, No. 2
energy of formation: -610 kJ/mol of formula units
corrected total energy (MP2020 scheme): -55.933 eV for the cell shown